[1]
Li3VF6: optimized geometry, PBE+U.

abc: 4.988 4.988 4.962
angles: 90.00 90.00 120.00
Fractional positions:
1 Li 0.000 0.000 0.000
2 Li 0.333 0.667 0.000
3 Li 0.667 0.333 0.000
4 V 0.000 0.000 0.500
5 F 0.000 0.309 0.762
6 F 0.000 0.691 0.238
7 F 0.309 0.000 0.762
8 F 0.309 0.309 0.238
9 F 0.691 0.000 0.238
10 F 0.691 0.691 0.762

Calculated values
E above lowest polymorph = 86 meV/atom
Space group = P-31m, No. 162

---

[2]
Li3VF6: optimized geometry, PBE+U.

abc: 6.068 6.068 6.068
angles: 91.38 91.38 91.38
Fractional positions:
1 Li 0.053 0.751 0.561
2 Li 0.249 0.439 0.947
3 Li 0.439 0.947 0.249
4 Li 0.561 0.053 0.751
5 Li 0.751 0.561 0.053
6 Li 0.947 0.249 0.439
7 V 0.000 0.000 0.000
8 V 0.500 0.500 0.500
9 F 0.047 0.694 0.899
10 F 0.101 0.953 0.306
11 F 0.194 0.420 0.574
12 F 0.306 0.101 0.953
13 F 0.420 0.574 0.194
14 F 0.426 0.806 0.580
15 F 0.574 0.194 0.420
16 F 0.580 0.426 0.806
17 F 0.694 0.899 0.047
18 F 0.806 0.580 0.426
19 F 0.899 0.047 0.694
20 F 0.953 0.306 0.101

Calculated values
E above lowest polymorph = 52 meV/atom
Space group = R-3, No. 148

---

[3]
Li3VF5: optimized geometry, PBE+U.

abc: 7.739 6.958 7.874
angles: 90.00 91.85 90.00
Fractional positions:
1 Li 0.003 0.052 0.218
2 Li 0.003 0.448 0.718
3 Li 0.266 0.222 0.968
4 Li 0.266 0.278 0.468
5 Li 0.465 0.015 0.313
6 Li 0.465 0.485 0.813
7 Li 0.535 0.515 0.187
8 Li 0.535 0.985 0.687
9 Li 0.734 0.722 0.532
10 Li 0.734 0.778 0.032
11 Li 0.997 0.552 0.282
12 Li 0.997 0.948 0.782
13 V 0.252 0.736 0.594
14 V 0.252 0.764 0.094
15 V 0.748 0.236 0.906
16 V 0.748 0.264 0.406
17 F 0.023 0.225 0.884
18 F 0.023 0.275 0.384
19 F 0.229 0.640 0.340
20 F 0.229 0.860 0.840
21 F 0.238 0.055 0.163
22 F 0.238 0.445 0.663
23 F 0.321 0.015 0.523
24 F 0.321 0.485 0.023
25 F 0.483 0.200 0.846
26 F 0.483 0.300 0.346
27 F 0.517 0.700 0.654
28 F 0.517 0.800 0.154
29 F 0.679 0.515 0.977
30 F 0.679 0.985 0.477
31 F 0.762 0.555 0.337
32 F 0.762 0.945 0.837
33 F 0.771 0.140 0.160
34 F 0.771 0.360 0.660
35 F 0.977 0.725 0.616
36 F 0.977 0.775 0.116

Calculated values
E above lowest polymorph = 14 meV/atom
Space group = P2_1/c, No. 14

---

[4]
LiVF5: optimized geometry, PBE+U.

abc: 6.782 6.782 4.600
angles: 90.00 90.00 90.00
Fractional positions:
1 Li 0.250 0.750 0.000
2 Li 0.750 0.250 0.000
3 V 0.250 0.250 0.121
4 V 0.750 0.750 0.879
5 F 0.014 0.712 0.784
6 F 0.212 0.986 0.216
7 F 0.250 0.250 0.741
8 F 0.288 0.514 0.216
9 F 0.486 0.788 0.784
10 F 0.514 0.212 0.216
11 F 0.712 0.486 0.784
12 F 0.750 0.750 0.259
13 F 0.788 0.014 0.784
14 F 0.986 0.288 0.216

Calculated values
E above lowest polymorph = 68 meV/atom
Space group = P4/n, No. 85

---

[5]
LiVF6: optimized geometry, PBE+U.

abc: 4.848 4.848 8.844
angles: 90.00 90.00 90.00
Fractional positions:
1 Li 0.000 0.000 0.000
2 Li 0.500 0.500 0.500
3 V 0.000 0.000 0.648
4 V 0.500 0.500 0.148
5 F 0.177 0.177 0.801
6 F 0.197 0.197 0.511
7 F 0.235 0.235 0.140
8 F 0.265 0.735 0.640
9 F 0.303 0.697 0.011
10 F 0.323 0.677 0.301
11 F 0.677 0.323 0.301
12 F 0.697 0.303 0.011
13 F 0.735 0.265 0.640
14 F 0.765 0.765 0.140
15 F 0.803 0.803 0.511
16 F 0.823 0.823 0.801

Calculated values
Space group = P4_2nm, No. 102

---

[6]
LiVF5: optimized geometry, PBE+U.

abc: 6.491 7.463 14.817
angles: 90.00 94.74 90.00
Fractional positions:
1 Li 0.002 0.231 0.401
2 Li 0.002 0.269 0.901
3 Li 0.329 0.554 0.433
4 Li 0.329 0.946 0.933
5 Li 0.671 0.054 0.067
6 Li 0.671 0.446 0.567
7 Li 0.998 0.731 0.099
8 Li 0.998 0.769 0.599
9 V 0.179 0.192 0.128
10 V 0.179 0.308 0.628
11 V 0.494 0.127 0.345
12 V 0.494 0.373 0.845
13 V 0.506 0.627 0.155
14 V 0.506 0.873 0.655
15 V 0.821 0.692 0.372
16 V 0.821 0.808 0.872
17 F 0.017 0.503 0.397
18 F 0.017 0.997 0.897
19 F 0.034 0.199 0.708
20 F 0.034 0.301 0.208
21 F 0.060 0.192 0.528
22 F 0.060 0.308 0.028
23 F 0.279 0.037 0.401
24 F 0.279 0.463 0.901
25 F 0.314 0.697 0.062
26 F 0.314 0.803 0.562
27 F 0.315 0.668 0.234
28 F 0.315 0.832 0.734
29 F 0.316 0.058 0.229
30 F 0.316 0.442 0.729
31 F 0.362 0.080 0.050
32 F 0.362 0.420 0.550
33 F 0.365 0.152 0.848
34 F 0.365 0.348 0.348
35 F 0.396 0.127 0.645
36 F 0.396 0.373 0.145
37 F 0.604 0.627 0.855
38 F 0.604 0.873 0.355
39 F 0.635 0.652 0.652
40 F 0.635 0.848 0.152
41 F 0.638 0.580 0.450
42 F 0.638 0.920 0.950
43 F 0.684 0.558 0.271
44 F 0.684 0.942 0.771
45 F 0.685 0.168 0.266
46 F 0.685 0.332 0.766
47 F 0.686 0.197 0.438
48 F 0.686 0.303 0.938
49 F 0.721 0.537 0.099
50 F 0.721 0.963 0.599
51 F 0.940 0.692 0.972
52 F 0.940 0.808 0.472
53 F 0.966 0.699 0.792
54 F 0.966 0.801 0.292
55 F 0.983 0.003 0.103
56 F 0.983 0.497 0.603

Calculated values
E above lowest polymorph = 47 meV/atom
Space group = P2_1/c, No. 14

---

[7]
Li3VF6: optimized geometry, PBE+U.

abc: 9.148 9.148 9.432
angles: 91.82 91.82 33.90
Fractional positions:
1 Li 0.039 0.608 0.180
2 Li 0.139 0.701 0.550
3 Li 0.179 0.604 0.899
4 Li 0.299 0.861 0.950
5 Li 0.392 0.961 0.320
6 Li 0.396 0.821 0.601
7 Li 0.604 0.179 0.399
8 Li 0.608 0.039 0.680
9 Li 0.701 0.139 0.050
10 Li 0.821 0.396 0.101
11 Li 0.861 0.299 0.450
12 Li 0.961 0.392 0.820
13 V 0.000 0.500 0.500
14 V 0.204 0.796 0.250
15 V 0.500 0.000 0.000
16 V 0.796 0.204 0.750
17 F 0.002 0.151 0.260
18 F 0.108 0.390 0.305
19 F 0.151 0.002 0.760
20 F 0.154 0.176 0.015
21 F 0.176 0.154 0.515
22 F 0.216 0.749 0.038
23 F 0.251 0.784 0.462
24 F 0.323 0.349 0.540
25 F 0.323 0.501 0.286
26 F 0.349 0.323 0.040
27 F 0.390 0.108 0.805
28 F 0.499 0.677 0.214
29 F 0.501 0.323 0.786
30 F 0.610 0.892 0.195
31 F 0.651 0.677 0.960
32 F 0.677 0.499 0.714
33 F 0.677 0.651 0.460
34 F 0.749 0.216 0.538
35 F 0.784 0.251 0.962
36 F 0.824 0.846 0.485
37 F 0.846 0.824 0.985
38 F 0.849 0.998 0.240
39 F 0.892 0.610 0.695
40 F 0.998 0.849 0.740

Calculated values
E above lowest polymorph = 45 meV/atom
Space group = C2/c, No. 15

---

[8]
Li2VF4: optimized geometry, PBE+U.

abc: 5.032 10.023 3.131
angles: 90.00 90.00 90.00
Fractional positions:
1 Li 0.024 0.208 0.000
2 Li 0.476 0.708 0.000
3 Li 0.524 0.292 0.000
4 Li 0.976 0.792 0.000
5 V 0.000 0.500 0.500
6 V 0.500 0.000 0.500
7 F 0.205 0.400 0.000
8 F 0.245 0.167 0.500
9 F 0.255 0.667 0.500
10 F 0.295 0.900 0.000
11 F 0.705 0.100 0.000
12 F 0.745 0.333 0.500
13 F 0.755 0.833 0.500
14 F 0.795 0.600 0.000

Calculated values
E above lowest polymorph = 16 meV/atom
Space group = Pbam, No. 55

---

[9]
LiVF6: optimized geometry, PBE+U.

abc: 5.243 5.243 9.330
angles: 90.00 90.00 120.00
Fractional positions:
1 Li 0.000 0.000 0.250
2 Li 0.000 0.000 0.750
3 V 0.333 0.667 0.250
4 V 0.667 0.333 0.750
5 F 0.059 0.370 0.360
6 F 0.059 0.689 0.140
7 F 0.311 0.370 0.140
8 F 0.311 0.941 0.360
9 F 0.370 0.059 0.860
10 F 0.370 0.311 0.640
11 F 0.630 0.689 0.360
12 F 0.630 0.941 0.140
13 F 0.689 0.059 0.640
14 F 0.689 0.630 0.860
15 F 0.941 0.311 0.860
16 F 0.941 0.630 0.640

Calculated values
Space group = P-31c, No. 163

---

[10]
Li4V2F9: optimized geometry, PBE+U.

abc: 5.172 5.172 13.937
angles: 90.00 90.00 120.00
Fractional positions:
1 Li 0.333 0.667 0.178
2 Li 0.333 0.667 0.481
3 Li 0.333 0.667 0.678
4 Li 0.333 0.667 0.981
5 Li 0.667 0.333 0.019
6 Li 0.667 0.333 0.322
7 Li 0.667 0.333 0.519
8 Li 0.667 0.333 0.822
9 V 0.000 0.000 0.152
10 V 0.000 0.000 0.348
11 V 0.000 0.000 0.652
12 V 0.000 0.000 0.848
13 F 0.000 0.311 0.250
14 F 0.000 0.689 0.750
15 F 0.023 0.352 0.585
16 F 0.023 0.672 0.085
17 F 0.311 0.000 0.250
18 F 0.311 0.311 0.750
19 F 0.328 0.352 0.085
20 F 0.328 0.977 0.585
21 F 0.352 0.023 0.915
22 F 0.352 0.328 0.415
23 F 0.648 0.672 0.585
24 F 0.648 0.977 0.085
25 F 0.672 0.023 0.415
26 F 0.672 0.648 0.915
27 F 0.689 0.000 0.750
28 F 0.689 0.689 0.250
29 F 0.977 0.328 0.915
30 F 0.977 0.648 0.415

Calculated values
Space group = P-3c1, No. 165

---

[11]
Li2VF4: optimized geometry, PBE+U.

abc: 5.381 5.381 5.381
angles: 134.37 134.37 66.51
Fractional positions:
1 Li 0.250 0.750 0.500
2 Li 0.750 0.250 0.500
3 V 0.000 0.000 0.000
4 F 0.000 0.500 0.500
5 F 0.234 0.234 0.000
6 F 0.500 0.000 0.500
7 F 0.766 0.766 0.000

Calculated values
E above lowest polymorph = 45 meV/atom
Space group = I4/mmm, No. 139

---

[12]
LiVF5: optimized geometry, PBE+U.

abc: 6.323 8.745 8.876
angles: 90.00 130.70 90.00
Fractional positions:
1 Li 0.028 0.104 0.282
2 Li 0.028 0.396 0.782
3 Li 0.972 0.604 0.218
4 Li 0.972 0.896 0.718
5 V 0.387 0.123 0.069
6 V 0.387 0.377 0.569
7 V 0.613 0.623 0.431
8 V 0.613 0.877 0.931
9 F 0.072 0.119 0.800
10 F 0.072 0.381 0.300
11 F 0.212 0.109 0.170
12 F 0.212 0.391 0.670
13 F 0.268 0.611 0.187
14 F 0.268 0.889 0.687
15 F 0.359 0.168 0.544
16 F 0.359 0.332 0.044
17 F 0.385 0.604 0.521
18 F 0.385 0.896 0.021
19 F 0.615 0.104 0.979
20 F 0.615 0.396 0.479
21 F 0.641 0.668 0.956
22 F 0.641 0.832 0.456
23 F 0.732 0.111 0.313
24 F 0.732 0.389 0.813
25 F 0.788 0.609 0.330
26 F 0.788 0.891 0.830
27 F 0.928 0.619 0.700
28 F 0.928 0.881 0.200

Calculated values
E above lowest polymorph = 31 meV/atom
Space group = P2_1/c, No. 14

---

[13]
Li2VF4: optimized geometry, PBE+U.

abc: 12.248 6.011 9.036
angles: 90.00 90.00 90.00
Fractional positions:
1 Li 0.045 0.124 0.000
2 Li 0.111 0.722 0.197
3 Li 0.134 0.285 0.716
4 Li 0.225 0.756 0.938
5 Li 0.275 0.256 0.438
6 Li 0.366 0.785 0.216
7 Li 0.389 0.222 0.697
8 Li 0.455 0.624 0.500
9 Li 0.545 0.376 0.000
10 Li 0.611 0.778 0.197
11 Li 0.634 0.215 0.716
12 Li 0.725 0.744 0.938
13 Li 0.775 0.244 0.438
14 Li 0.866 0.715 0.216
15 Li 0.889 0.278 0.697
16 Li 0.955 0.876 0.500
17 V 0.052 0.248 0.341
18 V 0.193 0.788 0.561
19 V 0.307 0.288 0.061
20 V 0.448 0.748 0.841
21 V 0.552 0.252 0.341
22 V 0.693 0.712 0.561
23 V 0.807 0.212 0.061
24 V 0.948 0.752 0.841
25 F 0.005 0.458 0.748
26 F 0.046 0.901 0.676
27 F 0.080 0.810 0.990
28 F 0.091 0.902 0.387
29 F 0.150 0.444 0.496
30 F 0.170 0.253 0.924
31 F 0.212 0.191 0.245
32 F 0.250 0.109 0.627
33 F 0.250 0.609 0.127
34 F 0.288 0.691 0.745
35 F 0.330 0.753 0.424
36 F 0.350 0.944 0.996
37 F 0.409 0.402 0.887
38 F 0.420 0.310 0.490
39 F 0.454 0.401 0.176
40 F 0.495 0.958 0.248
41 F 0.505 0.042 0.748
42 F 0.546 0.599 0.676
43 F 0.580 0.690 0.990
44 F 0.591 0.598 0.387
45 F 0.650 0.056 0.496
46 F 0.670 0.247 0.924
47 F 0.712 0.309 0.245
48 F 0.750 0.391 0.627
49 F 0.750 0.891 0.127
50 F 0.788 0.809 0.745
51 F 0.830 0.747 0.424
52 F 0.850 0.556 0.996
53 F 0.909 0.098 0.887
54 F 0.920 0.190 0.490
55 F 0.954 0.099 0.176
56 F 0.995 0.542 0.248

Calculated values
E above lowest polymorph = 62 meV/atom
Space group = Pna2_1, No. 33

---

We obtain energy of formation from the pure elements values of -3015, -3048, -2642, -2045, -2272, -2059, -3055, -2067, -2252, -4523, -2047, -2070, -2036 kJ/mol of formula units for the records listed above, in that order.
We obtain electronic total energy values of -5.308, -5.342, -5.306, -5.392, -5.194, -5.413, -5.349, -5.490, -5.168, -5.490, -5.461, -5.430, -5.445 eV per atom for the records listed above, in that order.